Li4Ti4MnFe4O18: optimized geometry, PBE with a Hubbard U.

* V: 11.10 Å³/atom
* E_form: -2.480 eV/atom
* spin magnetization: 23.0 μB per formula unit
* mass density: 3.789 g/cm3

Unit cell a=9.1994 b=25.4467 c=2.9409 alpha=90.00 beta=90.00 gamma=90.00
Space group Pbam (No. 55)
Asymmetric unit:
Li1 0.1938 0.0106 0.0000
Li2 0.1960 0.8091 0.0000
Ti1 0.0056 0.9002 0.0000
Ti2 0.1525 0.1904 0.5000
Mn1 0.0000 0.5000 0.0000
Fe1 0.0062 0.6946 0.0000
Fe2 0.1440 0.4123 0.5000
O1 0.0027 0.4244 0.0000
O2 0.0493 0.8439 0.5000
O3 0.0590 0.0571 0.5000
O4 0.0964 0.2387 0.0000
O5 0.1209 0.3341 0.5000
O6 0.1411 0.4960 0.5000
O7 0.1456 0.7112 0.5000
O8 0.1836 0.1424 0.0000
O9 0.2025 0.9190 0.0000

=====

FeSO8: optimized geometry, PBE with a Hubbard U.

* V: 15.65 Å³/atom
* excess energy over the best structure of this formula in the dataset: 1.934 eV per formula unit
* E_form: -0.514 eV/atom
* spin magnetization: 4.0 μB per formula unit
* mass density: 2.291 g/cm3

Unit cell a=6.5577 b=8.1210 c=12.5519 alpha=73.01 beta=79.09 gamma=82.79
Space group P-1 (No. 2)
Asymmetric unit:
Fe1 0.1652 0.3964 0.0750
Fe2 0.2913 0.4695 0.7721
S1 0.0678 0.3217 0.3482
S2 0.4106 0.7428 0.0630
O1 0.0123 0.7839 0.9289
O2 0.0412 0.0788 0.7786
O3 0.0544 0.8129 0.5731
O4 0.0720 0.5088 0.6842
O5 0.1329 0.9365 0.8003
O6 0.1368 0.5080 0.9082
O7 0.1595 0.2763 0.2414
O8 0.2340 0.3626 0.4008
O9 0.2728 0.5971 0.1047
O10 0.2992 0.9099 0.0436
O11 0.3980 0.7906 0.3895
O12 0.4232 0.9326 0.3127
O13 0.4421 0.2802 0.0394
O14 0.4542 0.6274 0.7030
O15 0.4588 0.3353 0.6112
O16 0.4597 0.2755 0.8433

=====

Na6Fe2PC4O16: optimized geometry, PBE with a Hubbard U.

* V: 12.95 Å³/atom
* E_form: -2.024 eV/atom
* spin magnetization: 9.0 μB per formula unit
* mass density: 2.586 g/cm3

Unit cell a=14.4277 b=14.4277 c=14.4277 alpha=90.00 beta=90.00 gamma=90.00
Space group Fd-3 (No. 203, origin choice 2)
Asymmetric unit:
Na1 0.0834 0.3750 0.3750
Fe1 0.0000 0.0000 0.5000
P1 0.1250 0.1250 0.1250
C1 0.0339 0.0339 0.7161
O1 0.0210 0.2738 0.6023
O2 0.0624 0.0624 0.0624

=====

MgCo6O8F4: optimized geometry, PBE with a Hubbard U.

* V: 11.01 Å³/atom
* excess energy over the best structure of this formula in the dataset: 0.000 eV per formula unit
* E_form: -1.604 eV/atom
* spin magnetization: 16.0 μB per formula unit
* mass density: 4.617 g/cm3

Unit cell a=5.0574 b=5.6051 c=7.6515 alpha=81.12 beta=81.18 gamma=80.05
Space group P1 (No. 1)
Asymmetric unit:
Mg1 0.0000 0.0000 0.0000
Co1 0.4751 0.8530 0.1877
Co2 0.5063 0.2059 0.8518
Co3 0.5123 0.5516 0.5293
Co4 0.9204 0.6215 0.8076
Co5 0.9656 0.0151 0.5122
Co6 0.9750 0.3838 0.1830
O1 0.2877 0.1542 0.0780
O2 0.2885 0.8184 0.4191
O3 0.2951 0.4890 0.7500
O4 0.6726 0.2337 0.6140
O5 0.6738 0.8781 0.9523
O6 0.6805 0.5669 0.2896
O7 0.7915 0.7404 0.5996
O8 0.8162 0.3598 0.9551
F1 0.1369 0.2968 0.4089
F2 0.1376 0.9733 0.7518
F3 0.1789 0.6744 0.0946
F4 0.8127 0.0511 0.2568

=====

V4ZnCu3O14: optimized geometry, PBE with a Hubbard U.

* V: 13.87 Å³/atom
* E_form: -1.897 eV/atom
* spin magnetization: 3.0 μB per formula unit
* mass density: 3.721 g/cm3

Unit cell a=5.6174 b=5.6749 c=10.1975 alpha=104.05 beta=103.29 gamma=92.57
Space group P1 (No. 1)
Asymmetric unit:
V1 0.0000 0.0000 0.0000
V2 0.0061 0.9112 0.5741
V3 0.4627 0.4532 0.0781
V4 0.5533 0.4516 0.4983
Zn1 0.4162 0.7134 0.8087
Cu1 0.2452 0.8330 0.3020
Cu2 0.6251 0.2190 0.7739
Cu3 0.7722 0.0765 0.2750
O1 0.0207 0.9752 0.4135
O2 0.1556 0.2995 0.0371
O3 0.1606 0.7967 0.9180
O4 0.2936 0.9285 0.6808
O5 0.3521 0.6163 0.4169
O6 0.4684 0.7421 0.1847
O7 0.4818 0.4322 0.6566
O8 0.5376 0.4642 0.9210
O9 0.5462 0.1649 0.3894
O10 0.6629 0.2894 0.1603
O11 0.7061 0.9834 0.8882
O12 0.8425 0.1105 0.6589
O13 0.8572 0.6062 0.5390
O14 0.9919 0.9346 0.1597